## Li4TiCo5O12 (PBE+U)

Data for crystalline Li4TiCo5O12 at its relaxed geometry.

Cell: 4.947 10.835 8.662 Å, 113.30 89.86 85.07°
Atoms (fractional coordinates):
Li: 0.039 0.747 0.208
Li: 0.539 0.747 0.710
Li: 0.462 0.252 0.962
Li: 0.958 0.253 0.463
Li: 0.550 0.748 0.047
Li: 0.045 0.748 0.546
Li: 0.954 0.253 0.798
Li: 0.455 0.253 0.298
Ti: 0.000 0.000 0.001
Ti: 0.500 0.000 0.501
Co: 0.751 0.500 0.746
Co: 0.749 0.500 0.411
Co: 0.751 0.501 0.080
Co: 0.500 0.000 0.834
Co: 0.000 0.000 0.334
Co: 0.251 0.500 0.246
Co: 0.252 0.500 0.915
Co: 0.249 0.499 0.583
Co: 0.000 0.000 0.667
Co: 0.500 0.000 0.167
O: 0.411 0.601 0.794
O: 0.906 0.604 0.292
O: 0.594 0.395 0.187
O: 0.087 0.397 0.691
O: 0.823 0.106 0.553
O: 0.322 0.106 0.053
O: 0.177 0.894 0.448
O: 0.677 0.894 0.948
O: 0.310 0.106 0.724
O: 0.810 0.106 0.224
O: 0.190 0.894 0.119
O: 0.690 0.894 0.619
O: 0.810 0.105 0.882
O: 0.310 0.105 0.382
O: 0.690 0.895 0.278
O: 0.190 0.895 0.777
O: 0.090 0.392 0.019
O: 0.585 0.393 0.524
O: 0.618 0.394 0.872
O: 0.107 0.394 0.375
O: 0.414 0.609 0.128
O: 0.911 0.605 0.632
O: 0.885 0.608 0.981
O: 0.391 0.606 0.481

Results
For the raw total energy, the calculation gives -6.0907 eV/atom. For the excess energy over the best structure of this formula in the dataset, the calculation gives 63 meV per atom. The value obtained for the magnetic moment is 0.0001 μB per atom. Its crystal system is triclinic. The calculation puts the formation energy at -1.817 eV/atom.

=====

## Li4TiCo5O12 (PBE+U)

Data for crystalline Li4TiCo5O12 at its relaxed geometry.

Cell: 4.963 20.097 4.988 Å, 89.73 118.83 89.06°
Atoms (fractional coordinates):
Li: 0.644 0.372 0.146
Li: 0.649 0.872 0.152
Li: 0.849 0.128 0.348
Li: 0.851 0.627 0.362
Li: 0.146 0.373 0.643
Li: 0.151 0.872 0.652
Li: 0.350 0.128 0.848
Li: 0.361 0.627 0.850
Ti: 0.000 0.000 0.000
Ti: 0.006 0.501 0.006
Co: 0.500 0.750 0.500
Co: 0.835 0.250 0.164
Co: 0.835 0.750 0.165
Co: 0.164 0.250 0.835
Co: 0.165 0.750 0.836
Co: 0.500 0.250 0.500
Co: 0.338 0.999 0.665
Co: 0.333 0.499 0.663
Co: 0.662 0.001 0.335
Co: 0.663 0.499 0.333
O: 0.170 0.297 0.171
O: 0.170 0.797 0.171
O: 0.830 0.203 0.829
O: 0.829 0.703 0.828
O: 0.329 0.052 0.316
O: 0.335 0.550 0.337
O: 0.662 0.452 0.660
O: 0.671 0.948 0.684
O: 0.676 0.057 0.005
O: 0.686 0.556 0.034
O: 0.970 0.444 0.311
O: 0.981 0.945 0.327
O: 0.019 0.055 0.673
O: 0.033 0.556 0.688
O: 0.313 0.444 0.968
O: 0.324 0.943 0.995
O: 0.507 0.201 0.170
O: 0.508 0.700 0.171
O: 0.172 0.201 0.507
O: 0.172 0.700 0.507
O: 0.827 0.299 0.493
O: 0.828 0.799 0.493
O: 0.492 0.299 0.829
O: 0.492 0.799 0.830

Results
For the raw total energy, the calculation gives -6.0934 eV/atom. For the excess energy over the best structure of this formula in the dataset, the calculation gives 60 meV per atom. The value obtained for the magnetic moment is 0.0455 μB per atom. Its crystal system is triclinic. The calculation puts the formation energy at -1.820 eV/atom.

=====

## Li4TiCo5O12 (PBE+U)

Data for crystalline Li4TiCo5O12 at its relaxed geometry.

Cell: 4.976 20.044 4.949 Å, 94.38 119.69 93.75°
Atoms (fractional coordinates):
Li: 0.582 0.373 0.239
Li: 0.572 0.874 0.229
Li: 0.763 0.127 0.416
Li: 0.773 0.626 0.435
Li: 0.223 0.370 0.580
Li: 0.224 0.871 0.576
Li: 0.418 0.130 0.767
Li: 0.418 0.629 0.775
Ti: 0.995 0.000 0.004
Ti: 0.992 0.500 0.006
Co: 0.834 0.750 0.169
Co: 0.158 0.250 0.837
Co: 0.162 0.750 0.834
Co: 0.679 0.001 0.327
Co: 0.676 0.500 0.328
Co: 0.491 0.250 0.503
Co: 0.494 0.750 0.503
Co: 0.824 0.250 0.169
Co: 0.345 0.000 0.660
Co: 0.343 0.500 0.662
O: 0.203 0.300 0.219
O: 0.200 0.800 0.205
O: 0.779 0.200 0.788
O: 0.795 0.701 0.798
O: 0.385 0.053 0.369
O: 0.384 0.552 0.371
O: 0.636 0.447 0.619
O: 0.638 0.948 0.617
O: 0.726 0.058 0.052
O: 0.725 0.558 0.054
O: 0.952 0.442 0.279
O: 0.955 0.943 0.279
O: 0.040 0.051 0.683
O: 0.038 0.550 0.686
O: 0.320 0.449 0.963
O: 0.322 0.950 0.962
O: 0.475 0.198 0.130
O: 0.470 0.700 0.132
O: 0.120 0.198 0.485
O: 0.135 0.694 0.506
O: 0.862 0.301 0.522
O: 0.876 0.802 0.529
O: 0.505 0.302 0.876
O: 0.494 0.804 0.858

Results
For the raw total energy, the calculation gives -6.1277 eV/atom. For the excess energy over the best structure of this formula in the dataset, the calculation gives 26 meV per atom. The value obtained for the magnetic moment is 0.0455 μB per atom. Its crystal system is triclinic. The calculation puts the formation energy at -1.854 eV/atom.